Al2NiPt: optimized geometry, GGA-PBE.

Values from the calculation:
Space-group type: P4/mmm, No. 123
Theoretical density: 9.50 g/cm3
ΔH_f (0 K): -793.2 meV per atom
Electronic total energy: -5.63 eV per atom

Cell: 2.9990 2.9990 5.9832 Å, 90.00 90.00 90.00°
Last column: nearest neighbours and their distance in Å.
Fractional coordinates of all 4 atoms:
Ni1 0.0000 0.0000 0.0000  8 Al 2.53
Al1 0.5000 0.5000 0.7698  4 Ni 2.53, 4 Pt 2.67, 1 Al 2.75
Al2 0.5000 0.5000 0.2302  4 Ni 2.53, 4 Pt 2.67, 1 Al 2.75
Pt1 0.0000 0.0000 0.5000  8 Al 2.67